1.
The following is a GGA-PBE calculation of crystalline Pr2AlCo2 at its relaxed geometry, from the Materials Project.

Cell: 4.021 5.630 8.965 Å, 90.00 90.00 90.00°
Space group Immm (No. 71)
Unique sites:
Pr 0.000 0.000 0.198 (multiplicity 4)
Al 0.000 0.500 0.000 (multiplicity 2)
Co 0.000 0.270 0.500 (multiplicity 4)

Output
M_tot ... 0.00 μB per formula unit

***

2.
The following is a GGA-PBE calculation of crystalline Na6Zn3SnP4S2O24 at its relaxed geometry, from the Materials Project.

Cell: 9.004 9.012 22.105 Å, 89.70 89.97 60.21°
Space group P1 (No. 1)
Unique sites:
Na 0.000 0.000 0.000 (multiplicity 1)
Na 0.000 0.635 0.251 (multiplicity 1)
Na 0.002 0.647 0.754 (multiplicity 1)
Na 0.014 0.942 0.334 (multiplicity 1)
Na 0.022 0.318 0.834 (multiplicity 1)
Na 0.323 0.351 0.665 (multiplicity 1)
Na 0.328 0.609 0.165 (multiplicity 1)
Na 0.340 0.985 0.916 (multiplicity 1)
Na 0.342 0.974 0.417 (multiplicity 1)
Na 0.637 0.648 0.997 (multiplicity 1)
Na 0.647 0.316 0.574 (multiplicity 1)
Na 0.663 0.302 0.082 (multiplicity 1)
Na 0.669 0.662 0.335 (multiplicity 1)
Na 0.698 0.595 0.661 (multiplicity 1)
Na 0.707 0.968 0.164 (multiplicity 1)
Na 0.947 0.346 0.161 (multiplicity 1)
Na 0.962 0.976 0.663 (multiplicity 1)
Na 0.992 0.276 0.492 (multiplicity 1)
Zn 0.004 0.633 0.394 (multiplicity 1)
Zn 0.007 0.633 0.591 (multiplicity 1)
Zn 0.324 0.967 0.563 (multiplicity 1)
Zn 0.327 0.982 0.061 (multiplicity 1)
Zn 0.651 0.306 0.420 (multiplicity 1)
Zn 0.659 0.311 0.735 (multiplicity 1)
Zn 0.662 0.310 0.239 (multiplicity 1)
Zn 0.974 0.650 0.089 (multiplicity 1)
Zn 0.985 0.646 0.894 (multiplicity 1)
Sn 0.326 0.970 0.765 (multiplicity 1)
Sn 0.328 0.974 0.264 (multiplicity 1)
Sn 0.657 0.304 0.925 (multiplicity 1)
P 0.031 0.270 0.660 (multiplicity 1)
P 0.032 0.972 0.160 (multiplicity 1)
P 0.328 0.678 0.661 (multiplicity 1)
P 0.361 0.307 0.825 (multiplicity 1)
P 0.363 0.603 0.327 (multiplicity 1)
P 0.622 0.677 0.160 (multiplicity 1)
P 0.658 0.608 0.827 (multiplicity 1)
P 0.659 0.010 0.327 (multiplicity 1)
P 0.694 0.942 0.995 (multiplicity 1)
P 0.958 0.006 0.826 (multiplicity 1)
P 0.962 0.306 0.329 (multiplicity 1)
P 0.993 0.342 0.994 (multiplicity 1)
S 0.292 0.634 0.996 (multiplicity 1)
S 0.296 0.340 0.497 (multiplicity 1)
S 0.327 0.270 0.161 (multiplicity 1)
S 0.620 0.973 0.661 (multiplicity 1)
S 0.696 0.642 0.496 (multiplicity 1)
S 0.991 0.940 0.496 (multiplicity 1)
O 0.006 0.839 0.441 (multiplicity 1)
O 0.011 0.452 0.657 (multiplicity 1)
O 0.012 0.427 0.937 (multiplicity 1)
O 0.022 0.805 0.158 (multiplicity 1)
O 0.116 0.159 0.604 (multiplicity 1)
O 0.118 0.001 0.105 (multiplicity 1)
O 0.136 0.005 0.825 (multiplicity 1)
O 0.142 0.137 0.324 (multiplicity 1)
O 0.142 0.156 0.998 (multiplicity 1)
O 0.144 0.946 0.219 (multiplicity 1)
O 0.147 0.961 0.497 (multiplicity 1)
O 0.149 0.188 0.718 (multiplicity 1)
O 0.162 0.667 0.656 (multiplicity 1)
O 0.172 0.442 0.157 (multiplicity 1)
O 0.178 0.638 0.334 (multiplicity 1)
O 0.179 0.430 0.445 (multiplicity 1)
O 0.181 0.460 0.832 (multiplicity 1)
O 0.186 0.654 0.943 (multiplicity 1)
O 0.221 0.611 0.053 (multiplicity 1)
O 0.223 0.433 0.555 (multiplicity 1)
O 0.292 0.795 0.719 (multiplicity 1)
O 0.295 0.193 0.217 (multiplicity 1)
O 0.306 0.168 0.500 (multiplicity 1)
O 0.315 0.787 0.998 (multiplicity 1)
O 0.342 0.140 0.825 (multiplicity 1)
O 0.347 0.790 0.324 (multiplicity 1)
O 0.354 0.162 0.108 (multiplicity 1)
O 0.367 0.760 0.607 (multiplicity 1)
O 0.436 0.509 0.267 (multiplicity 1)
O 0.444 0.323 0.767 (multiplicity 1)
O 0.467 0.322 0.490 (multiplicity 1)
O 0.472 0.480 0.991 (multiplicity 1)
O 0.476 0.276 0.882 (multiplicity 1)
O 0.481 0.287 0.168 (multiplicity 1)
O 0.484 0.522 0.380 (multiplicity 1)
O 0.485 0.497 0.668 (multiplicity 1)
O 0.494 0.789 0.825 (multiplicity 1)
O 0.497 0.983 0.324 (multiplicity 1)
O 0.510 0.001 0.608 (multiplicity 1)
O 0.511 0.764 0.104 (multiplicity 1)
O 0.516 0.957 0.001 (multiplicity 1)
O 0.524 0.796 0.500 (multiplicity 1)
O 0.540 0.793 0.218 (multiplicity 1)
O 0.544 0.941 0.717 (multiplicity 1)
O 0.629 0.524 0.886 (multiplicity 1)
O 0.632 0.119 0.382 (multiplicity 1)
O 0.637 0.499 0.167 (multiplicity 1)
O 0.639 0.126 0.667 (multiplicity 1)
O 0.680 0.124 0.989 (multiplicity 1)
O 0.682 0.501 0.771 (multiplicity 1)
O 0.685 0.086 0.268 (multiplicity 1)
O 0.685 0.482 0.493 (multiplicity 1)
O 0.782 0.658 0.441 (multiplicity 1)
O 0.786 0.824 0.943 (multiplicity 1)
O 0.792 0.818 0.657 (multiplicity 1)
O 0.801 0.621 0.552 (multiplicity 1)
O 0.801 0.878 0.055 (multiplicity 1)
O 0.804 0.657 0.158 (multiplicity 1)
O 0.818 0.827 0.333 (multiplicity 1)
O 0.819 0.331 0.990 (multiplicity 1)
O 0.821 0.620 0.834 (multiplicity 1)
O 0.838 0.116 0.493 (multiplicity 1)
O 0.852 0.131 0.166 (multiplicity 1)
O 0.854 0.284 0.667 (multiplicity 1)
O 0.856 0.091 0.769 (multiplicity 1)
O 0.857 0.334 0.270 (multiplicity 1)
O 0.877 0.125 0.884 (multiplicity 1)
O 0.883 0.270 0.385 (multiplicity 1)
O 0.963 0.448 0.052 (multiplicity 1)
O 0.976 0.858 0.552 (multiplicity 1)
O 0.979 0.467 0.335 (multiplicity 1)
O 0.984 0.829 0.835 (multiplicity 1)

Output
Total energy after the MP2020 corrections ... -6.422 eV per atom
M_tot ... 0.00 μB per formula unit

***

3.
The following is a GGA-PBE calculation of crystalline LaCeAl2O6 at its relaxed geometry, from the Materials Project.

Cell: 5.3924 5.3924 13.1794 Å, 90.00 90.00 120.00°
Space group R32 (No. 155, hexagonal axes)
Unique sites:
La 0.0000 0.0000 0.0000 (multiplicity 3)
Ce 0.0000 0.0000 0.5000 (multiplicity 3)
Al 0.0000 0.0000 0.2501 (multiplicity 6)
O 0.0000 0.4731 0.5000 (multiplicity 9)
O 0.0000 0.5258 0.0000 (multiplicity 9)

Output
Polymorph energy (0 for the lowest one) ... 0 meV per atom
Total energy after the MP2020 corrections ... -8.471 eV per atom
M_tot ... 1.00 μB per formula unit

***

4.
The following is a GGA-PBE calculation of crystalline ZnCo2S5 at its relaxed geometry, from the Materials Project.

Cell: 3.511 13.296 6.279 Å, 90.00 90.00 90.00°
Space group Pmmn (No. 59, origin choice 2)
Unique sites:
Zn 0.250 0.250 0.136 (multiplicity 2)
Co 0.250 0.602 0.446 (multiplicity 4)
S 0.250 0.057 0.361 (multiplicity 4)
S 0.250 0.670 0.135 (multiplicity 4)
S 0.250 0.750 0.608 (multiplicity 2)

Output
Total energy after the MP2020 corrections ... -5.077 eV per atom
M_tot ... 0.00 μB per formula unit

***

5.
The following is a GGA-PBE calculation of crystalline Pb3SO6 at its relaxed geometry, from the Materials Project.

Cell: 7.364 5.888 8.330 Å, 90.00 104.04 90.00°
Space group P2_1/m (No. 11)
Unique sites:
Pb 0.077 0.250 0.378 (multiplicity 2)
Pb 0.239 0.250 0.843 (multiplicity 2)
Pb 0.393 0.750 0.586 (multiplicity 2)
S 0.294 0.750 0.143 (multiplicity 2)
O 0.162 0.750 0.978 (multiplicity 2)
O 0.178 0.501 0.621 (multiplicity 4)
O 0.184 0.750 0.275 (multiplicity 2)
O 0.418 0.545 0.165 (multiplicity 4)

Output
Polymorph energy (0 for the lowest one) ... 2 meV per atom
Total energy after the MP2020 corrections ... -6.252 eV per atom

***

6.
The following is a GGA-PBE calculation of crystalline Tb3Ho at its relaxed geometry, from the Materials Project.

Cell: 5.025 5.025 5.025 Å, 90.00 90.00 90.00°
Space group Pm-3m (No. 221)
Unique sites:
Tb 0.000 0.000 0.500 (multiplicity 3)
Ho 0.500 0.500 0.500 (multiplicity 1)

***

7.
The following is a GGA-PBE calculation of crystalline Rb2LiTlF6 at its relaxed geometry, from the Materials Project.

Cell: 8.691 8.691 8.691 Å, 90.00 90.00 90.00°
Space group Fm-3m (No. 225)
Unique sites:
Rb 0.250 0.250 0.250 (multiplicity 8)
Li 0.000 0.000 0.000 (multiplicity 4)
Tl 0.000 0.000 0.500 (multiplicity 4)
F 0.000 0.000 0.246 (multiplicity 24)

Output
Total energy after the MP2020 corrections ... -4.503 eV per atom
M_tot ... 0.00 μB per formula unit

***

8.
The following is a GGA-PBE calculation of crystalline CsCuPSe3 at its relaxed geometry, from the Materials Project.

Cell: 10.213 13.502 11.028 Å, 90.00 104.22 90.00°
Space group P2_1/c (No. 14)
Unique sites:
Cs 0.111 0.180 0.117 (multiplicity 4)
Cs 0.367 0.653 0.840 (multiplicity 4)
Cu 0.046 0.047 0.404 (multiplicity 4)
Cu 0.480 0.597 0.461 (multiplicity 4)
P 0.220 0.037 0.832 (multiplicity 4)
P 0.283 0.540 0.168 (multiplicity 4)
Se 0.005 0.078 0.755 (multiplicity 4)
Se 0.135 0.663 0.113 (multiplicity 4)
Se 0.255 0.574 0.484 (multiplicity 4)
Se 0.274 0.072 0.520 (multiplicity 4)
Se 0.346 0.172 0.880 (multiplicity 4)
Se 0.493 0.591 0.247 (multiplicity 4)

Output
Total energy after the MP2020 corrections ... -4.233 eV per atom
M_tot ... 0.00 μB per formula unit

***

Number 1: uncorrected energy -5.731 eV per atom, formation energy -0.226 eV per atom. Number 2: uncorrected energy -6.009 eV per atom, formation energy -2.312 eV per atom. Number 3: uncorrected energy -8.059 eV per atom, formation energy -3.667 eV per atom. Number 4: uncorrected energy -4.763 eV per atom, formation energy -0.558 eV per atom. Number 5: uncorrected energy -5.840 eV per atom, formation energy -1.756 eV per atom. Number 6: uncorrected energy -4.601 eV per atom, formation energy 0.020 eV per atom. Number 7: uncorrected energy -4.226 eV per atom, formation energy -2.731 eV per atom. Number 8: uncorrected energy -3.997 eV per atom, formation energy -0.751 eV per atom.